P | A plane-wave DFT calculation with GGA-PBE was carried out for Tb4In20Ni11 after structural relaxation.

a b c (Å): 4.314 11.467 13.986
angles (deg): 80.06 81.13 79.16
Sites, in units of the cell vectors:
1 Ni 0.500 0.500 0.500
2 Ni 0.255 0.108 0.381
3 Ni 0.347 0.426 0.879
4 Ni 0.745 0.892 0.619
5 Ni 0.022 0.554 0.403
6 Ni 0.137 0.829 0.897
7 Ni 0.653 0.574 0.121
8 Ni 0.863 0.171 0.103
9 Ni 0.493 0.818 0.197
10 Ni 0.507 0.182 0.803
11 Ni 0.978 0.446 0.597
12 Tb 0.881 0.908 0.330
13 Tb 0.771 0.633 0.824
14 Tb 0.119 0.092 0.670
15 Tb 0.229 0.367 0.176
16 In 0.989 0.925 0.096
17 In 0.246 0.797 0.710
18 In 0.297 0.904 0.502
19 In 0.938 0.336 0.789
20 In 0.011 0.075 0.904
21 In 0.628 0.939 0.805
22 In 0.602 0.786 0.010
23 In 0.703 0.096 0.498
24 In 0.388 0.533 0.691
25 In 0.612 0.467 0.309
26 In 0.398 0.214 0.990
27 In 0.541 0.297 0.622
28 In 0.885 0.679 0.551
29 In 0.754 0.203 0.290
30 In 0.372 0.061 0.195
31 In 0.062 0.664 0.211
32 In 0.203 0.597 0.998
33 In 0.797 0.403 0.002
34 In 0.459 0.703 0.378
35 In 0.115 0.321 0.449

Q | A plane-wave DFT calculation with GGA-PBE was carried out for Tb4In20Ni11 after structural relaxation.

a b c (Å): 4.322 11.474 13.963
angles (deg): 80.75 81.08 79.12
Sites, in units of the cell vectors:
1 Ni 0.251 0.109 0.383
2 Ni 0.741 0.891 0.617
3 Ni 0.344 0.428 0.880
4 Ni 0.022 0.552 0.401
5 Ni 0.138 0.832 0.897
6 Ni 0.975 0.444 0.601
7 Ni 0.651 0.575 0.121
8 Ni 0.492 0.818 0.195
9 Ni 0.498 0.502 0.501
10 Ni 0.863 0.169 0.103
11 Ni 0.509 0.182 0.805
12 In 0.613 0.466 0.310
13 In 0.061 0.663 0.211
14 In 0.293 0.903 0.501
15 In 0.796 0.402 0.004
16 In 0.200 0.601 0.997
17 In 0.751 0.202 0.290
18 In 0.399 0.212 0.991
19 In 0.118 0.318 0.450
20 In 0.887 0.678 0.552
21 In 0.243 0.797 0.709
22 In 0.628 0.941 0.803
23 In 0.013 0.075 0.904
24 In 0.455 0.703 0.377
25 In 0.700 0.096 0.498
26 In 0.990 0.925 0.095
27 In 0.369 0.059 0.195
28 In 0.539 0.296 0.623
29 In 0.602 0.790 0.008
30 In 0.935 0.336 0.791
31 In 0.385 0.531 0.692
32 Tb 0.118 0.093 0.667
33 Tb 0.874 0.907 0.331
34 Tb 0.767 0.633 0.825
35 Tb 0.227 0.369 0.174

The least stable of them is P.

P | A plane-wave DFT calculation with GGA-PBE was carried out for InP3O9 after structural relaxation.

a b c (Å): 7.665 7.665 9.838
angles (deg): 57.05 57.05 51.73
Sites, in units of the cell vectors:
1 O 0.670 0.521 0.096
2 O 0.330 0.094 0.337
3 O 0.521 0.670 0.596
4 O 0.640 0.956 0.662
5 O 0.391 0.389 0.388
6 O 0.726 0.250 0.631
7 O 0.913 0.050 0.019
8 O 0.767 0.395 0.788
9 O 0.250 0.726 0.131
10 O 0.395 0.767 0.288
11 O 0.389 0.391 0.888
12 O 0.063 0.171 0.212
13 O 0.956 0.640 0.162
14 O 0.094 0.330 0.837
15 O 0.873 0.840 0.835
16 O 0.050 0.913 0.519
17 O 0.840 0.873 0.335
18 O 0.171 0.063 0.712
19 P 0.979 0.812 0.172
20 P 0.437 0.581 0.230
21 P 0.206 0.006 0.332
22 P 0.812 0.979 0.672
23 P 0.581 0.437 0.730
24 P 0.006 0.206 0.832
25 In 0.489 0.015 0.501
26 In 0.015 0.489 0.001

Q | A plane-wave DFT calculation with GGA-PBE was carried out for InP3O9 after structural relaxation.

a b c (Å): 7.443 8.784 8.559
angles (deg): 58.93 91.22 90.45
Sites, in units of the cell vectors:
1 O 0.178 0.516 0.896
2 O 0.101 0.000 0.817
3 O 0.612 0.812 0.003
4 O 0.092 0.184 0.007
5 O 0.674 0.482 0.094
6 O 0.332 0.264 0.176
7 O 0.989 0.607 0.237
8 O 0.681 0.111 0.393
9 O 0.335 0.556 0.272
10 O 0.843 0.844 0.427
11 O 0.821 0.735 0.814
12 O 0.679 0.404 0.487
13 O 0.174 0.600 0.505
14 O 0.319 0.180 0.551
15 O 0.493 0.851 0.405
16 O 0.176 0.900 0.587
17 O 0.592 0.198 0.829
18 O 0.826 0.451 0.728
19 P 0.161 0.590 0.334
20 P 0.696 0.345 0.687
21 P 0.707 0.681 0.977
22 P 0.665 0.933 0.407
23 P 0.197 0.024 0.659
24 P 0.197 0.316 0.025
25 In 0.508 0.335 0.330
26 In 0.006 0.671 0.661

The least stable of them is Q.